A plane-wave DFT calculation with PBE-GGA was carried out for a relaxed Al2TeSO9 crystal.

```
Al2TeSO9
1.0
-9.1024 -2.4052 -1.5007
1.0277 -0.8633 -4.8497
1.6458 -6.9497 1.1564
Al Te S O
4 2 2 18
Direct
0.9268 0.7540 0.0640
0.4268 0.2460 0.9360
0.0732 0.2460 0.9360
0.5732 0.7540 0.0640
0.2500 0.6550 0.1604
0.7500 0.3450 0.8396
0.2500 0.0424 0.6045
0.7500 0.9576 0.3955
0.2500 0.4108 0.9585
0.7500 0.5892 0.0415
0.1103 0.9155 0.0598
0.6103 0.0845 0.9402
0.8897 0.0845 0.9402
0.3897 0.9155 0.0598
0.0325 0.4523 0.1481
0.5325 0.5477 0.8519
0.9675 0.5477 0.8519
0.4675 0.4523 0.1481
0.2500 0.1361 0.4079
0.7500 0.8639 0.5921
0.2500 0.7503 0.6100
0.7500 0.2497 0.3900
0.1216 0.1434 0.6978
0.6216 0.8566 0.3022
0.8784 0.8566 0.3022
0.3784 0.1434 0.6978
```

Calculated values
Its crystal system is monoclinic. The value obtained for the formation enthalpy at 0 K is -2.13 eV/atom. Its corrected total energy (MP2020 scheme) is -6.69 eV per atom. As for the space-group type: P2_1/m (11).

A plane-wave DFT calculation with PBE-GGA was carried out for a relaxed Zr8Ni61B18 crystal.

```
Zr8Ni61B18
1.0
3.7602 -6.5129 0.0000
3.7602 6.5129 0.0000
0.0000 0.0000 18.5325
Zr Ni B
8 61 18
Direct
0.0000 0.0000 0.2492
0.3333 0.6667 0.9173
0.6667 0.3333 0.5833
0.6667 0.3333 0.0827
0.0000 0.0000 0.7508
0.3333 0.6667 0.4167
0.3333 0.6667 0.6679
0.6667 0.3333 0.3321
0.0100 0.6767 0.3331
0.3384 0.3384 0.0000
0.6767 0.0100 0.6669
0.7832 0.5665 0.2159
0.1109 0.2219 0.8896
0.4483 0.8966 0.5522
0.0000 0.3384 0.0000
0.3333 0.0100 0.6669
0.6667 0.6767 0.3331
0.7832 0.2168 0.2159
0.1109 0.8891 0.8896
0.4483 0.5517 0.5522
0.0100 0.3333 0.3331
0.3384 0.0000 0.0000
0.6767 0.6667 0.6669
0.6667 0.9900 0.3331
0.0000 0.6616 0.0000
0.3333 0.3233 0.6669
0.8891 0.1109 0.1104
0.2168 0.7832 0.7841
0.5517 0.4483 0.4478
0.8891 0.7781 0.1104
0.2168 0.4335 0.7841
0.5517 0.1034 0.4478
0.2219 0.1109 0.1104
0.5665 0.7832 0.7841
0.8966 0.4483 0.4478
0.6616 0.6616 0.0000
0.9900 0.3233 0.6669
0.3233 0.9900 0.3331
0.3233 0.3333 0.3331
0.6616 0.0000 0.0000
0.9900 0.6667 0.6669
0.4335 0.2168 0.2159
0.7781 0.8891 0.8896
0.1034 0.5517 0.5522
0.1822 0.3644 0.2041
0.5152 0.0303 0.8715
0.8488 0.6976 0.5379
0.1822 0.8178 0.2041
0.5152 0.4848 0.8715
0.8488 0.1512 0.5379
0.3333 0.6667 0.0531
0.6667 0.3333 0.7197
0.0000 0.0000 0.3859
0.6356 0.8178 0.2041
0.9697 0.4848 0.8715
0.3024 0.1512 0.5379
0.4848 0.9697 0.1285
0.8178 0.6356 0.7959
0.1512 0.3024 0.4621
0.4848 0.5152 0.1285
0.8178 0.1822 0.7959
0.1512 0.8488 0.4621
0.3333 0.6667 0.2803
0.6667 0.3333 0.9469
0.0000 0.0000 0.6141
0.0303 0.5152 0.1285
0.3644 0.1822 0.7959
0.6976 0.8488 0.4621
0.0000 0.0000 0.0000
0.4906 0.5094 0.2446
0.8212 0.1788 0.9110
0.1568 0.8432 0.5781
0.1788 0.3575 0.0890
0.5094 0.0188 0.7554
0.8432 0.6863 0.4219
0.0188 0.5094 0.2446
0.3575 0.1788 0.9110
0.6863 0.8432 0.5781
0.1788 0.8212 0.0890
0.5094 0.4906 0.7554
0.8432 0.1568 0.4219
0.4906 0.9812 0.2446
0.8212 0.6425 0.9110
0.1568 0.3137 0.5781
0.6425 0.8212 0.0890
0.9812 0.4906 0.7554
0.3137 0.1568 0.4219
```

Calculated values
Its crystal system is trigonal. The value obtained for the formation enthalpy at 0 K is -0.41 eV/atom. As for the space-group type: P-3m1 (164).

A plane-wave DFT calculation with PBE-GGA was carried out for a relaxed TbCuS2 crystal.

```
TbCuS2
1.0
-5.9204 3.7785 0.2405
-2.7527 -4.5383 3.5384
1.7958 2.4286 6.0509
Tb Cu S
4 4 8
Direct
0.0480 0.3068 0.3007
0.5480 0.6932 0.1993
0.9520 0.6932 0.6993
0.4520 0.3068 0.8007
0.8386 0.0804 0.9498
0.1614 0.9196 0.0502
0.3386 0.9196 0.5502
0.6614 0.0804 0.4498
0.7266 0.4251 0.4977
0.2266 0.5749 0.0023
0.2734 0.5749 0.5023
0.7734 0.4251 0.9977
0.3866 0.0918 0.2191
0.1134 0.0918 0.7191
0.6134 0.9082 0.7809
0.8866 0.9082 0.2809
```

Calculated values
Its crystal system is monoclinic. The value obtained for the formation enthalpy at 0 K is -1.63 eV/atom. Its corrected total energy (MP2020 scheme) is -5.88 eV per atom. As for the space-group type: P2_1/c (14).

A plane-wave DFT calculation with PBE-GGA was carried out for a relaxed Mg8Al4Cu2Si7 crystal.

```
Mg8Al4Cu2Si7
1.0
3.9797 0.0000 0.0000
0.0000 10.4137 0.0000
0.0000 5.1495 9.1145
Mg Al Cu Si
8 4 2 7
Direct
0.0000 0.2534 0.7492
0.0000 0.7502 0.9990
0.5000 0.1410 0.3780
0.5000 0.3802 0.4811
0.5000 0.4763 0.1409
0.5000 0.0007 0.7973
0.5000 0.7958 0.1999
0.5000 0.2021 0.0043
0.0000 0.8492 0.6568
0.0000 0.6306 0.5116
0.0000 0.4954 0.8637
0.0000 0.0018 0.2461
0.5000 0.6862 0.6456
0.0000 0.3320 0.3359
0.5000 0.8749 0.4063
0.5000 0.4371 0.7117
0.5000 0.7041 0.8590
0.0000 0.0044 0.0030
0.0000 0.1248 0.5788
0.0000 0.5770 0.2946
0.0000 0.2830 0.1372
```

Calculated values
Its crystal system is monoclinic. The value obtained for the formation enthalpy at 0 K is -0.02 eV/atom. Its corrected total energy (MP2020 scheme) is -3.54 eV per atom. As for the space-group type: Pm (6).